Below is ZrZn3 after structural relaxation, with properties calculated at the GGA-PBE level.

The structure in extended XYZ format:
```
8
Lattice="-3.1491 4.8918 0.9204 0.3107 -4.1335 4.1847 3.5432 1.9652 1.6781" Properties=species:S:1:pos:R:3 pbc="T T T"
Zn 0.2192 2.7667 4.8926
Zn 0.0561 4.9365 2.6958
Zn 0.4855 -0.0432 1.8906
Zn 0.6486 -2.2130 4.0873
Zn -1.0045 0.3549 4.5705
Zr 1.8148 0.3489 4.3552
Zn 1.7092 2.3686 2.2127
Zr -1.1101 2.3747 2.4280
```

Properties
**Final energy**: -26.97 eV/cell
**Mass density**: 7.2 g/cm3
**Energy of formation from the pure elements**: -290 meV/atom
**Space-group type**: P6_3/mmc (194)